This record from Materials Project describes a relaxed K7Bi9O24 crystal. The functional is PBE.

Results
- calculated volume (Å³/atom) = 15.72
- ΔE_f (eV per atom) = -1.516

Cell: 9.5777 9.5777 9.5784 Å, 66.43 66.43 53.12°
Fractional positions:
O: 0.7554 0.2446 0.0000
O: 0.7126 0.1719 0.7310
O: 0.0577 0.0577 0.7302
O: 0.5000 0.0000 0.0000
O: 0.1139 0.6559 0.4998
O: 0.2874 0.8281 0.2690
O: 0.4399 0.9384 0.7434
O: 0.3178 0.3178 0.7437
O: 0.6559 0.1139 0.4998
O: 0.6822 0.6822 0.2563
O: 0.2446 0.7554 0.0000
O: 0.0000 0.5000 0.0000
O: 0.3441 0.8861 0.5002
O: 0.9384 0.4399 0.7434
O: 0.4399 0.4399 0.2549
O: 0.1719 0.7126 0.7310
O: 0.9423 0.9423 0.2698
O: 0.1732 0.1732 0.2687
O: 0.5601 0.5601 0.7451
O: 0.8268 0.8268 0.7313
O: 0.8861 0.3441 0.5002
O: 0.8281 0.2874 0.2690
O: 0.0616 0.5601 0.2566
O: 0.5601 0.0616 0.2566
K: 0.7518 0.7518 0.5000
K: 0.2482 0.2482 0.5000
K: 0.6247 0.6247 0.9986
K: 0.5000 0.5000 0.5000
K: 0.3753 0.3753 0.0014
K: 0.1251 0.1251 0.0022
K: 0.8749 0.8749 0.9978
Bi: 0.0000 0.0000 0.5000
Bi: 0.5604 0.0633 0.7508
Bi: 0.8119 0.3137 0.7506
Bi: 0.9367 0.4396 0.2492
Bi: 0.0633 0.5604 0.7508
Bi: 0.3137 0.8119 0.7506
Bi: 0.1881 0.6863 0.2494
Bi: 0.4396 0.9367 0.2492
Bi: 0.6863 0.1881 0.2494

***

This record from Materials Project describes a relaxed BaP2Ir2 crystal. The functional is PBE.

Results
- calculated volume (Å³/atom) = 20.37
- ΔE_f (eV per atom) = -0.847

Cell: 3.9907 3.9907 6.9910 Å, 106.58 106.58 90.00°
Fractional positions:
P: 0.6486 0.6486 0.2972
P: 0.3514 0.3514 0.7028
Ba: 0.0000 0.0000 0.0000
Ir: 0.7500 0.2500 0.5000
Ir: 0.2500 0.7500 0.5000

***

This record from Materials Project describes a relaxed LiScB4H16 crystal. The functional is PBE.

Results
- calculated volume (Å³/atom) = 9.89
- ΔE_f (eV per atom) = -0.376

Cell: 6.1166 6.1166 11.6431 Å, 90.00 90.00 92.20°
Fractional positions:
H: 0.7250 0.7597 0.2555
H: 0.4517 0.3428 0.3944
H: 0.4701 0.7783 0.6316
H: 0.2895 0.7783 0.2369
H: 0.1628 0.8377 0.5785
H: 0.2750 0.2403 0.2555
H: 0.5483 0.6572 0.3944
H: 0.2403 0.2750 0.7555
H: 0.2217 0.7105 0.7369
H: 0.9347 0.7109 0.8973
H: 0.1623 0.8372 0.0785
H: 0.7109 0.9347 0.3973
H: 0.8377 0.1628 0.0785
H: 0.0653 0.2891 0.8973
H: 0.2891 0.0653 0.3973
H: 0.3555 0.1267 0.8965
H: 0.7105 0.2217 0.2369
H: 0.1267 0.3555 0.3965
H: 0.5266 0.2641 0.0984
H: 0.7783 0.4701 0.1316
H: 0.6572 0.5483 0.8944
H: 0.7359 0.4734 0.5984
H: 0.8733 0.6445 0.3965
H: 0.4734 0.7359 0.0984
H: 0.2641 0.5266 0.5984
H: 0.8372 0.1623 0.5785
H: 0.2217 0.5299 0.1316
H: 0.7783 0.2895 0.7369
H: 0.7597 0.7250 0.7555
H: 0.5299 0.2217 0.6316
H: 0.6445 0.8733 0.8965
H: 0.3428 0.4517 0.8944
B: 0.2817 0.7269 0.1338
B: 0.2731 0.7183 0.6338
B: 0.7480 0.7211 0.8619
B: 0.7183 0.2731 0.1338
B: 0.2520 0.2789 0.8619
B: 0.7269 0.2817 0.6338
B: 0.2789 0.2520 0.3619
B: 0.7211 0.7480 0.3619
Li: 0.0000 0.0000 0.9421
Li: 0.0000 0.0000 0.4421
Sc: 0.5000 0.5000 0.7345
Sc: 0.5000 0.5000 0.2345

***

This record from Materials Project describes a relaxed NaReN2 crystal. The functional is PBE.

Results
- calculated volume (Å³/atom) = 16.26
- ΔE_f (eV per atom) = -0.285

Cell: 5.9376 12.3613 14.1775 Å, 90.00 90.00 90.00°
Fractional positions:
Na: 0.2832 0.0428 0.9350
Na: 0.7832 0.0428 0.5650
Na: 0.3311 0.2790 0.8137
Na: 0.2168 0.9572 0.4350
Na: 0.7168 0.5428 0.5650
Na: 0.6689 0.7210 0.1863
Na: 0.7168 0.9572 0.0650
Na: 0.6689 0.7790 0.6863
Na: 0.1689 0.7210 0.3137
Na: 0.2832 0.4572 0.4350
Na: 0.1689 0.7790 0.8137
Na: 0.8311 0.2790 0.6863
Na: 0.3311 0.2210 0.3137
Na: 0.8311 0.2210 0.1863
Na: 0.7832 0.4572 0.0650
Na: 0.2168 0.5428 0.9350
N: 0.2192 0.4265 0.0831
N: 0.9018 0.4939 0.7211
N: 0.2192 0.0735 0.5831
N: 0.7808 0.5735 0.9169
N: 0.2290 0.3281 0.6450
N: 0.7710 0.6719 0.3550
N: 0.1200 0.2705 0.4547
N: 0.7290 0.1719 0.3550
N: 0.9018 0.0061 0.2211
N: 0.3800 0.7705 0.4547
N: 0.5982 0.5061 0.2211
N: 0.0982 0.5061 0.2789
N: 0.4018 0.0061 0.2789
N: 0.7192 0.4265 0.4169
N: 0.4018 0.4939 0.7789
N: 0.3800 0.7295 0.9547
N: 0.8800 0.7295 0.5453
N: 0.2710 0.6719 0.1450
N: 0.8800 0.7705 0.0453
N: 0.1200 0.2295 0.9547
N: 0.7290 0.3281 0.8550
N: 0.2808 0.5735 0.5831
N: 0.7710 0.8281 0.8550
N: 0.2710 0.8281 0.6450
N: 0.7192 0.0735 0.9169
N: 0.0982 0.9939 0.7789
N: 0.6200 0.2295 0.5453
N: 0.2808 0.9265 0.0831
N: 0.6200 0.2705 0.0453
N: 0.2290 0.1719 0.1450
N: 0.5982 0.9939 0.7211
N: 0.7808 0.9265 0.4169
Re: 0.2016 0.7199 0.5552
Re: 0.1985 0.0258 0.1786
Re: 0.7984 0.2199 0.9448
Re: 0.8015 0.9742 0.8214
Re: 0.2016 0.7801 0.0552
Re: 0.2984 0.2199 0.5552
Re: 0.6985 0.0258 0.3214
Re: 0.3015 0.5258 0.1786
Re: 0.2984 0.2801 0.0552
Re: 0.8015 0.5258 0.3214
Re: 0.7016 0.7801 0.4448
Re: 0.1985 0.4742 0.6786
Re: 0.7984 0.2801 0.4448
Re: 0.6985 0.4742 0.8214
Re: 0.7016 0.7199 0.9448
Re: 0.3015 0.9742 0.6786

***

This record from Materials Project describes a relaxed Dy7Co6Sn23 crystal. The functional is PBE.

Results
- calculated volume (Å³/atom) = 22.68
- energy above the lowest structure with this stoichiometry (meV per atom) = 0.0
- ΔE_f (eV per atom) = -0.410

Cell: 9.7230 9.7230 9.9708 Å, 90.00 90.00 120.00°
Fractional positions:
Co: 0.1675 0.3351 0.8022
Co: 0.1675 0.8325 0.8022
Co: 0.8325 0.6649 0.1978
Co: 0.6649 0.8325 0.8022
Co: 0.8325 0.1675 0.1978
Co: 0.3351 0.1675 0.1978
Sn: 0.6539 0.6539 0.0000
Sn: 0.6667 0.3333 0.1819
Sn: 0.7642 0.8821 0.2753
Sn: 0.6667 0.3333 0.8833
Sn: 0.8821 0.1179 0.7247
Sn: 0.2358 0.1179 0.7247
Sn: 0.3333 0.6667 0.8181
Sn: 0.4379 0.2190 0.4530
Sn: 0.3333 0.6667 0.1167
Sn: 0.3461 0.3461 0.0000
Sn: 0.2190 0.7810 0.5470
Sn: 0.5621 0.7810 0.5470
Sn: 0.7810 0.5621 0.4530
Sn: 0.8821 0.7642 0.7247
Sn: 0.2190 0.4379 0.5470
Sn: 0.7810 0.2190 0.4530
Sn: 0.1179 0.2358 0.2753
Sn: 0.3461 0.0000 0.0000
Sn: 0.0000 0.6539 0.0000
Sn: 0.1179 0.8821 0.2753
Sn: 0.6539 0.0000 0.0000
Sn: 0.0000 0.3461 0.0000
Sn: 0.0000 0.0000 0.5000
Dy: 0.4790 0.9579 0.3058
Dy: 0.4790 0.5210 0.3058
Dy: 0.0000 0.0000 0.0000
Dy: 0.9579 0.4790 0.6942
Dy: 0.5210 0.4790 0.6942
Dy: 0.0421 0.5210 0.3058
Dy: 0.5210 0.0421 0.6942

***

This record from Materials Project describes a relaxed MgTe2Mo2W2Se4S2 crystal. The functional is PBE.

Results
- calculated volume (Å³/atom) = 28.28
- energy above the lowest structure with this stoichiometry (meV per atom) = 26.0
- ΔE_f (eV per atom) = -0.520

Cell: 3.3377 3.3378 38.1092 Å, 90.00 90.00 120.00°
Fractional positions:
W: 0.6667 0.3334 0.2818
W: 0.6667 0.3334 0.6575
S: 0.3334 0.6667 0.6176
S: 0.3334 0.6667 0.6975
Mo: 0.3333 0.6666 0.4697
Mo: 0.3333 0.6666 0.0939
Mg: 0.3141 0.7283 0.8611
Te: 0.6666 0.3333 0.1437
Te: 0.6666 0.3333 0.0441
Se: 0.6666 0.3333 0.5135
Se: 0.6666 0.3333 0.4259
Se: 0.3334 0.6667 0.3258
Se: 0.3333 0.6667 0.2379